# Al4Zn4P8H13N3O32

Al4Zn4P8H13N3O32 after structural relaxation (GGA-PBE, the Materials Project).

Cell: 9.0029 9.4922 9.5009 Å, 89.70 82.49 81.70°
Space group P1 (No. 1)
Symmetry-distinct sites (fractional):
Al 0.0000 0.0000 0.0000
Al 0.1756 0.4846 0.6289
Al 0.4978 0.1209 0.8936
Al 0.7224 0.2579 0.2688
Zn 0.0467 0.9110 0.5517
Zn 0.2373 0.3733 0.1335
Zn 0.5589 0.6477 0.7841
Zn 0.6698 0.7333 0.3715
P 0.0288 0.6153 0.3796
P 0.0669 0.1323 0.2836
P 0.1472 0.2581 0.8679
P 0.2049 0.7728 0.7901
P 0.5223 0.4809 0.4950
P 0.5833 0.3972 0.0167
P 0.6578 0.9834 0.1343
P 0.6952 0.9076 0.6647
H 0.2586 0.5969 0.2592
H 0.2867 0.0987 0.4480
H 0.3662 0.0539 0.5957
H 0.3816 0.2149 0.5219
H 0.4799 0.0654 0.4434
H 0.7340 0.3131 0.7058
H 0.7867 0.5789 0.9875
H 0.8303 0.1523 0.6416
H 0.8470 0.3070 0.5503
H 0.8803 0.6385 0.1151
H 0.8888 0.7144 0.9534
H 0.9244 0.2788 0.6997
H 0.9800 0.5482 0.9736
N 0.3789 0.1084 0.5020
N 0.8332 0.2632 0.6494
N 0.8844 0.6208 0.0073
O 0.0311 0.1520 0.8942
O 0.0485 0.5041 0.4990
O 0.0626 0.0197 0.1659
O 0.0690 0.7568 0.4189
O 0.0820 0.8392 0.9133
O 0.0936 0.0654 0.4266
O 0.1169 0.3798 0.9779
O 0.1272 0.3267 0.7200
O 0.1474 0.6330 0.7434
O 0.1631 0.5626 0.2464
O 0.2000 0.2149 0.2453
O 0.2129 0.8770 0.6657
O 0.3071 0.1737 0.8658
O 0.3552 0.7358 0.8477
O 0.3611 0.4355 0.5413
O 0.4328 0.4279 0.1140
O 0.5101 0.6085 0.3952
O 0.5209 0.0270 0.0511
O 0.5727 0.0303 0.7357
O 0.5784 0.2796 0.9031
O 0.5964 0.5071 0.6270
O 0.6160 0.3450 0.4190
O 0.6312 0.5285 0.9392
O 0.6434 0.8749 0.5221
O 0.6495 0.0950 0.2567
O 0.6526 0.8357 0.1935
O 0.7110 0.7774 0.7615
O 0.7121 0.3463 0.1076
O 0.8047 0.9907 0.0289
O 0.8442 0.9745 0.6450
O 0.8802 0.6148 0.3204
O 0.9121 0.2334 0.3016

Calculated values
* VASP energy: -410.29 eV/cell